{"formula": "Na14Mg5Ti3P12O48", "functional": "GGA-PBE", "state": "relaxed", "final_energy_ev_per_atom": -6.736, "vol_a3_per_cell": 3041, "e_form_ev_per_fu": -232.68, "cell": [[8.931, 0.000, 0.000], [0.000, 15.464, 0.000], [-0.023, -0.023, 22.021]], "species": ["Na", "Na", "Na", "Na", "Na", "Na", "Na", "Na", "Na", "Na", "Na", "Na", "Na", "Na", "Na", "Na", "Na", "Na", "Na", "Na", "Na", "Na", "Na", "Na", "Na", "Na", "Na", "Na", "Na", "Na", "Na", "Na", "Na", "Na", "Na", "Na", "Na", "Na", "Na", "Na", "Na", "Na", "Mg", "Mg", "Mg", "Mg", "Mg", "Mg", "Mg", "Mg", "Mg", "Mg", "Mg", "Mg", "Mg", "Mg", "Mg", "Ti", "Ti", "Ti", "Ti", "Ti", "Ti", "Ti", "Ti", "Ti", "P", "P", "P", "P", "P", "P", "P", "P", "P", "P", "P", "P", "P", "P", "P", "P", "P", "P", "P", "P", "P", "P", "P", "P", "P", "P", "P", "P", "P", "P", "P", "P", "P", "P", "P", "P", "O", "O", "O", "O", "O", "O", "O", "O", "O", "O", "O", "O", "O", "O", "O", "O", "O", "O", "O", "O", "O", "O", "O", "O", "O", "O", "O", "O", "O", "O", "O", "O", "O", "O", "O", "O", "O", "O", "O", "O", "O", "O", "O", "O", "O", "O", "O", "O", "O", "O", "O", "O", "O", "O", "O", "O", "O", "O", "O", "O", "O", "O", "O", "O", "O", "O", "O", "O", "O", "O", "O", "O", "O", "O", "O", "O", "O", "O", "O", "O", "O", "O", "O", "O", "O", "O", "O", "O", "O", "O", "O", "O", "O", "O", "O", "O", "O", "O", "O", "O", "O", "O", "O", "O", "O", "O", "O", "O", "O", "O", "O", "O", "O", "O", "O", "O", "O", "O", "O", "O", "O", "O", "O", "O", "O", "O", "O", "O", "O", "O", "O", "O", "O", "O", "O", "O", "O", "O", "O", "O", "O", "O", "O", "O"], "fractional_positions": [[0.000, 0.000, 0.000], [0.000, 0.665, 0.334], [0.002, 0.336, 0.670], [0.003, 0.967, 0.670], [0.011, 0.634, 0.000], [0.012, 0.301, 0.335], [0.047, 0.989, 0.333], [0.058, 0.653, 0.670], [0.173, 0.479, 0.082], [0.177, 0.485, 0.584], [0.184, 0.157, 0.917], [0.188, 0.818, 0.750], [0.188, 0.819, 0.249], [0.193, 0.147, 0.418], [0.322, 0.323, 0.500], [0.323, 0.654, 0.167], [0.327, 0.989, 0.833], [0.362, 0.304, 0.834], [0.366, 0.634, 0.500], [0.371, 0.967, 0.170], [0.373, 0.664, 0.833], [0.377, 0.333, 0.167], [0.501, 0.499, 0.000], [0.502, 0.836, 0.670], [0.503, 0.164, 0.333], [0.503, 0.467, 0.670], [0.512, 0.134, 0.000], [0.513, 0.803, 0.332], [0.558, 0.153, 0.670], [0.677, 0.986, 0.583], [0.683, 0.980, 0.083], [0.684, 0.657, 0.917], [0.688, 0.318, 0.750], [0.688, 0.642, 0.415], [0.689, 0.329, 0.249], [0.816, 0.152, 0.170], [0.821, 0.823, 0.500], [0.827, 0.489, 0.833], [0.862, 0.804, 0.833], [0.866, 0.134, 0.500], [0.873, 0.164, 0.833], [0.874, 0.836, 0.170], [0.183, 0.486, 0.437], [0.185, 0.482, 0.936], [0.187, 0.485, 0.736], [0.188, 0.152, 0.270], [0.188, 0.152, 0.770], [0.189, 0.819, 0.102], [0.189, 0.819, 0.602], [0.682, 0.986, 0.436], [0.685, 0.648, 0.270], [0.685, 0.982, 0.936], [0.687, 0.652, 0.770], [0.687, 0.985, 0.236], [0.687, 0.985, 0.736], [0.689, 0.319, 0.602], [0.692, 0.322, 0.104], [0.183, 0.485, 0.235], [0.186, 0.156, 0.068], [0.188, 0.820, 0.402], [0.190, 0.818, 0.903], [0.191, 0.150, 0.567], [0.686, 0.652, 0.068], [0.687, 0.322, 0.401], [0.690, 0.319, 0.903], [0.691, 0.650, 0.567], [0.039, 0.338, 0.836], [0.040, 0.299, 0.171], [0.040, 0.671, 0.504], [0.041, 0.634, 0.837], [0.042, 0.006, 0.169], [0.043, 0.966, 0.504], [0.333, 0.005, 0.670], [0.334, 0.298, 0.669], [0.335, 0.631, 0.338], [0.336, 0.965, 0.005], [0.337, 0.341, 0.337], [0.337, 0.672, 0.004], [0.393, 0.984, 0.336], [0.394, 0.319, 0.004], [0.395, 0.652, 0.669], [0.480, 0.152, 0.169], [0.481, 0.819, 0.504], [0.483, 0.484, 0.837], [0.539, 0.838, 0.836], [0.541, 0.134, 0.837], [0.541, 0.172, 0.503], [0.541, 0.798, 0.170], [0.542, 0.505, 0.170], [0.544, 0.465, 0.504], [0.833, 0.505, 0.670], [0.834, 0.134, 0.337], [0.834, 0.798, 0.669], [0.836, 0.173, 0.005], [0.836, 0.465, 0.004], [0.836, 0.838, 0.337], [0.893, 0.818, 0.004], [0.895, 0.152, 0.669], [0.895, 0.485, 0.337], [0.978, 0.650, 0.171], [0.981, 0.320, 0.504], [0.983, 0.984, 0.837], [0.000, 0.803, 0.947], [0.003, 0.482, 0.996], [0.004, 0.141, 0.612], [0.004, 0.469, 0.280], [0.005, 0.147, 0.331], [0.006, 0.500, 0.670], [0.006, 0.808, 0.662], [0.011, 0.164, 0.008], [0.014, 0.828, 0.344], [0.052, 0.393, 0.777], [0.068, 0.910, 0.560], [0.069, 0.245, 0.228], [0.069, 0.578, 0.893], [0.071, 0.732, 0.447], [0.077, 0.233, 0.506], [0.079, 0.066, 0.112], [0.082, 0.568, 0.175], [0.082, 0.730, 0.163], [0.086, 0.901, 0.845], [0.088, 0.063, 0.831], [0.089, 0.395, 0.497], [0.103, 0.246, 0.830], [0.108, 0.713, 0.560], [0.111, 0.047, 0.226], [0.112, 0.583, 0.496], [0.112, 0.915, 0.163], [0.113, 0.381, 0.890], [0.113, 0.919, 0.446], [0.116, 0.597, 0.779], [0.116, 0.727, 0.844], [0.117, 0.058, 0.507], [0.119, 0.251, 0.115], [0.124, 0.388, 0.174], [0.254, 0.057, 0.007], [0.254, 0.723, 0.341], [0.257, 0.387, 0.670], [0.258, 0.586, 0.280], [0.260, 0.919, 0.948], [0.262, 0.915, 0.663], [0.263, 0.250, 0.612], [0.264, 0.046, 0.727], [0.266, 0.381, 0.393], [0.266, 0.713, 0.060], [0.269, 0.581, 0.996], [0.270, 0.249, 0.329], [0.286, 0.063, 0.331], [0.289, 0.900, 0.345], [0.293, 0.067, 0.614], [0.295, 0.733, 0.663], [0.296, 0.399, 0.996], [0.299, 0.232, 0.008], [0.300, 0.569, 0.670], [0.302, 0.398, 0.279], [0.302, 0.731, 0.947], [0.303, 0.579, 0.395], [0.303, 0.913, 0.061], [0.307, 0.243, 0.726], [0.362, 0.828, 0.845], [0.363, 0.500, 0.174], [0.365, 0.168, 0.507], [0.370, 0.147, 0.831], [0.370, 0.807, 0.162], [0.371, 0.141, 0.112], [0.374, 0.477, 0.496], [0.374, 0.804, 0.447], [0.383, 0.166, 0.226], [0.386, 0.499, 0.893], [0.387, 0.829, 0.561], [0.390, 0.465, 0.779], [0.481, 0.964, 0.277], [0.490, 0.331, 0.061], [0.492, 0.666, 0.726], [0.494, 0.000, 0.390], [0.500, 0.303, 0.947], [0.502, 0.648, 0.330], [0.503, 0.641, 0.612], [0.503, 0.981, 0.997], [0.505, 0.000, 0.670], [0.506, 0.308, 0.662], [0.511, 0.663, 0.008], [0.512, 0.331, 0.341], [0.552, 0.893, 0.777], [0.567, 0.411, 0.561], [0.568, 0.744, 0.227], [0.569, 0.078, 0.893], [0.570, 0.234, 0.446], [0.570, 0.564, 0.111], [0.574, 0.068, 0.170], [0.577, 0.733, 0.506], [0.581, 0.232, 0.162], [0.586, 0.400, 0.844], [0.588, 0.563, 0.831], [0.589, 0.895, 0.496], [0.600, 0.413, 0.163], [0.603, 0.746, 0.831], [0.607, 0.550, 0.225], [0.608, 0.214, 0.560], [0.613, 0.083, 0.495], [0.613, 0.881, 0.890], [0.615, 0.227, 0.844], [0.615, 0.746, 0.115], [0.616, 0.096, 0.779], [0.616, 0.417, 0.448], [0.617, 0.557, 0.507], [0.619, 0.887, 0.170], [0.754, 0.556, 0.007], [0.757, 0.887, 0.670], [0.759, 0.097, 0.279], [0.759, 0.227, 0.345], [0.761, 0.421, 0.946], [0.762, 0.415, 0.663], [0.763, 0.749, 0.612], [0.764, 0.546, 0.727], [0.765, 0.213, 0.060], [0.768, 0.880, 0.393], [0.769, 0.082, 0.996], [0.771, 0.746, 0.331], [0.793, 0.567, 0.614], [0.795, 0.233, 0.663], [0.796, 0.899, 0.996], [0.797, 0.565, 0.328], [0.800, 0.069, 0.670], [0.800, 0.732, 0.008], [0.802, 0.231, 0.947], [0.802, 0.399, 0.341], [0.802, 0.410, 0.059], [0.807, 0.743, 0.726], [0.808, 0.078, 0.393], [0.819, 0.894, 0.279], [0.862, 0.328, 0.844], [0.865, 0.668, 0.507], [0.869, 0.000, 0.170], [0.870, 0.647, 0.831], [0.872, 0.307, 0.162], [0.873, 0.977, 0.496], [0.874, 0.305, 0.447], [0.876, 0.638, 0.112], [0.884, 0.666, 0.227], [0.886, 0.999, 0.893], [0.888, 0.329, 0.561], [0.890, 0.965, 0.779], [0.990, 0.831, 0.061], [0.992, 0.166, 0.726], [0.995, 0.500, 0.392]]}